A plane-wave DFT calculation with PBE was carried out for crystalline Pr2TeO2 at its relaxed geometry.

Its crystal system is tetragonal. The formation energy comes out at -3137 meV per atom.

It has space group I4/mmm (No. 139), with a = 4.105 Å, b = 4.105 Å, c = 13.106 Å, α = 90.00°, β = 90.00° and γ = 90.00°. The asymmetric unit holds Pr at (0.000, 0.000, 0.160), Te at (0.000, 0.000, 0.500) and O at (0.000, 0.500, 0.250).

A plane-wave DFT calculation with PBE was carried out for crystalline PrTiO3 at its relaxed geometry.

Its crystal system is cubic. The formation energy comes out at -3484 meV per atom.

It has space group Pm-3m (No. 221), with a = 3.943 Å, b = 3.943 Å, c = 3.943 Å, α = 90.00°, β = 90.00° and γ = 90.00°. The asymmetric unit holds Pr at (0.000, 0.000, 0.000), Ti at (0.500, 0.500, 0.500) and O at (0.000, 0.500, 0.500).

A plane-wave DFT calculation with PBE was carried out for crystalline PrTiO3 at its relaxed geometry.

Its crystal system is trigonal. The formation energy comes out at -3530 meV per atom.

It has space group R-3c (No. 167, hexagonal axes), with a = 5.6759 Å, b = 5.6759 Å, c = 13.3893 Å, α = 90.00°, β = 90.00° and γ = 120.00°. The asymmetric unit holds Pr at (0.0000, 0.0000, 0.2500), Ti at (0.0000, 0.0000, 0.0000) and O at (0.0000, 0.4208, 0.2500).